Entry A
Entry from the Materials Project: Cr2AgS4 after structural relaxation (GGA-PBE). Values from VASP.

Values from the calculation:
size of the total moment = 5.00 μB per formula unit
ρ = 4.7 g/cm³
calculated volume = 121.5 Å³/f.u.

Cell and atoms, written as Quantum ESPRESSO input:
```
&SYSTEM
  ibrav = 0, nat = 28, ntyp = 3
/
ATOMIC_SPECIES
Cr 52.00 Cr.upf
Ag 107.87 Ag.upf
S 32.06 S.upf
ATOMIC_POSITIONS crystal
Cr 0.750 0.104 0.420
Cr 0.250 0.896 0.580
Cr 0.250 0.396 0.920
Cr 0.750 0.604 0.080
Cr 0.750 0.151 0.790
Cr 0.250 0.849 0.210
Cr 0.250 0.349 0.290
Cr 0.750 0.651 0.710
Ag 0.250 0.130 0.091
Ag 0.750 0.870 0.909
Ag 0.750 0.370 0.591
Ag 0.250 0.630 0.409
S 0.250 0.050 0.877
S 0.750 0.950 0.123
S 0.750 0.450 0.377
S 0.250 0.550 0.623
S 0.750 0.035 0.617
S 0.250 0.965 0.383
S 0.250 0.465 0.117
S 0.750 0.535 0.883
S 0.750 0.210 0.248
S 0.250 0.790 0.752
S 0.250 0.290 0.748
S 0.750 0.710 0.252
S 0.250 0.236 0.460
S 0.750 0.764 0.540
S 0.750 0.264 0.960
S 0.250 0.736 0.040
CELL_PARAMETERS angstrom
3.494 0.000 0.000
0.000 11.644 0.000
0.000 0.000 11.940
```



Entry B
Entry from the Materials Project: Cr2AgS4 after structural relaxation (GGA-PBE). Values from VASP.

Values from the calculation:
size of the total moment = 5.00 μB per formula unit
ρ = 3.8 g/cm³
calculated volume = 149.2 Å³/f.u.

Cell and atoms, written as Quantum ESPRESSO input:
```
&SYSTEM
  ibrav = 0, nat = 28, ntyp = 3
/
ATOMIC_SPECIES
Cr 52.00 Cr.upf
Ag 107.87 Ag.upf
S 32.06 S.upf
ATOMIC_POSITIONS crystal
Cr 0.153 0.704 0.711
Cr 0.847 0.296 0.289
Cr 0.244 0.888 0.999
Cr 0.756 0.112 0.001
Cr 0.359 0.552 0.288
Cr 0.641 0.448 0.712
Cr 0.377 0.057 0.290
Cr 0.623 0.943 0.710
Ag 0.112 0.210 0.700
Ag 0.888 0.790 0.300
Ag 0.249 0.375 0.001
Ag 0.751 0.625 0.999
S 0.124 0.676 0.887
S 0.876 0.324 0.113
S 0.088 0.136 0.905
S 0.912 0.864 0.095
S 0.243 0.788 0.363
S 0.757 0.212 0.637
S 0.177 0.289 0.345
S 0.823 0.711 0.655
S 0.318 0.952 0.637
S 0.682 0.048 0.363
S 0.331 0.487 0.645
S 0.669 0.513 0.355
S 0.415 0.079 0.108
S 0.585 0.921 0.892
S 0.376 0.618 0.111
S 0.624 0.382 0.889
CELL_PARAMETERS angstrom
6.403 -0.019 0.573
-0.070 7.473 1.112
-0.014 -0.113 12.458
```



Entry C
Entry from the Materials Project: Cr2AgS4 after structural relaxation (GGA-PBE). Values from VASP.

Values from the calculation:
ρ = 4.3 g/cm³
calculated volume = 132.0 Å³/f.u.

Cell and atoms, written as Quantum ESPRESSO input:
```
&SYSTEM
  ibrav = 0, nat = 14, ntyp = 3
/
ATOMIC_SPECIES
Cr 52.00 Cr.upf
Ag 107.87 Ag.upf
S 32.06 S.upf
ATOMIC_POSITIONS crystal
Cr 0.125 0.125 0.125
Cr 0.625 0.125 0.125
Cr 0.125 0.625 0.125
Cr 0.125 0.125 0.625
Ag 0.500 0.500 0.500
Ag 0.750 0.750 0.750
S 0.360 0.360 0.360
S 0.330 0.890 0.890
S 0.890 0.890 0.330
S 0.890 0.330 0.890
S 0.360 0.360 0.920
S 0.360 0.920 0.360
S 0.890 0.890 0.890
S 0.920 0.360 0.360
CELL_PARAMETERS angstrom
0.000 5.092 5.092
5.092 0.000 5.092
5.092 5.092 0.000
```



Entry D
Entry from the Materials Project: Cr2AgS4 after structural relaxation (GGA-PBE). Values from VASP.

Values from the calculation:
size of the total moment = 5.00 μB per formula unit
ρ = 4.3 g/cm³
calculated volume = 131.7 Å³/f.u.

Cell and atoms, written as Quantum ESPRESSO input:
```
&SYSTEM
  ibrav = 0, nat = 7, ntyp = 3
/
ATOMIC_SPECIES
Cr 52.00 Cr.upf
Ag 107.87 Ag.upf
S 32.06 S.upf
ATOMIC_POSITIONS crystal
Cr 0.500 0.500 0.000
Cr 0.000 0.000 0.000
Ag 0.000 0.000 0.500
S 0.000 0.330 0.206
S 0.500 0.826 0.209
S 0.500 0.174 0.791
S 0.000 0.670 0.794
CELL_PARAMETERS angstrom
-0.095 1.851 -2.933
-5.727 1.269 0.987
1.517 5.265 3.274
```



Which of them is most stable? Easy: entry C.



Entry A
Entry from the Materials Project: Cr2AgS4 after structural relaxation (GGA-PBE). Values from VASP.

Values from the calculation:
size of the total moment = 5.00 μB per formula unit
ρ = 4.4 g/cm³
calculated volume = 129.6 Å³/f.u.

Cell and atoms, written as Quantum ESPRESSO input:
```
&SYSTEM
  ibrav = 0, nat = 7, ntyp = 3
/
ATOMIC_SPECIES
Cr 52.00 Cr.upf
Ag 107.87 Ag.upf
S 32.06 S.upf
ATOMIC_POSITIONS crystal
Cr 0.759 0.759 0.223
Cr 0.241 0.241 0.777
Ag 0.500 0.500 0.500
S 0.362 0.362 0.974
S 0.638 0.638 0.026
S 0.847 0.847 0.496
S 0.153 0.153 0.504
CELL_PARAMETERS angstrom
-2.475 -3.991 5.353
0.920 -3.666 6.035
-1.272 3.134 4.843
```



Entry B
Entry from the Materials Project: Cr2AgS4 after structural relaxation (GGA-PBE). Values from VASP.

Values from the calculation:
size of the total moment = 5.00 μB per formula unit
ρ = 4.2 g/cm³
calculated volume = 133.8 Å³/f.u.

Cell and atoms, written as Quantum ESPRESSO input:
```
&SYSTEM
  ibrav = 0, nat = 28, ntyp = 3
/
ATOMIC_SPECIES
Cr 52.00 Cr.upf
Ag 107.87 Ag.upf
S 32.06 S.upf
ATOMIC_POSITIONS crystal
Cr 0.993 0.000 0.245
Cr 0.993 0.000 0.755
Cr 0.007 0.500 0.255
Cr 0.007 0.500 0.745
Cr 0.500 0.250 0.250
Cr 0.500 0.750 0.750
Cr 0.500 0.750 0.250
Cr 0.500 0.250 0.750
Ag 0.351 0.000 0.000
Ag 0.649 0.500 0.500
Ag 0.036 0.000 0.500
Ag 0.964 0.500 0.000
S 0.833 0.251 0.353
S 0.833 0.749 0.647
S 0.167 0.751 0.147
S 0.167 0.249 0.853
S 0.167 0.249 0.147
S 0.167 0.751 0.853
S 0.833 0.749 0.353
S 0.833 0.251 0.647
S 0.659 0.000 0.149
S 0.659 0.000 0.851
S 0.341 0.500 0.351
S 0.341 0.500 0.649
S 0.326 0.000 0.348
S 0.326 0.000 0.652
S 0.674 0.500 0.152
S 0.674 0.500 0.848
CELL_PARAMETERS angstrom
5.912 0.000 0.000
0.000 6.886 0.000
0.000 0.000 13.147
```



Entry C
Entry from the Materials Project: Cr2AgS4 after structural relaxation (GGA-PBE). Values from VASP.

Values from the calculation:
size of the total moment = 5.00 μB per formula unit
ρ = 4.7 g/cm³
calculated volume = 121.4 Å³/f.u.

Cell and atoms, written as Quantum ESPRESSO input:
```
&SYSTEM
  ibrav = 0, nat = 28, ntyp = 3
/
ATOMIC_SPECIES
Cr 52.00 Cr.upf
Ag 107.87 Ag.upf
S 32.06 S.upf
ATOMIC_POSITIONS crystal
Cr 0.250 0.058 0.117
Cr 0.750 0.942 0.883
Cr 0.750 0.442 0.617
Cr 0.250 0.558 0.383
Cr 0.250 0.087 0.597
Cr 0.750 0.913 0.403
Cr 0.750 0.413 0.097
Cr 0.250 0.587 0.903
Ag 0.250 0.246 0.330
Ag 0.750 0.754 0.670
Ag 0.750 0.254 0.830
Ag 0.250 0.746 0.170
S 0.750 0.036 0.713
S 0.250 0.964 0.287
S 0.250 0.464 0.213
S 0.750 0.536 0.787
S 0.250 0.082 0.931
S 0.750 0.918 0.069
S 0.750 0.418 0.431
S 0.250 0.582 0.569
S 0.750 0.115 0.469
S 0.250 0.885 0.531
S 0.250 0.385 0.969
S 0.750 0.615 0.031
S 0.750 0.200 0.153
S 0.250 0.800 0.847
S 0.250 0.300 0.653
S 0.750 0.700 0.347
CELL_PARAMETERS angstrom
3.486 0.000 0.000
0.000 11.073 0.000
0.000 0.000 12.583
```



Which of them is most stable? Easy: entry A.



Entry A
Entry from the Materials Project: TaCr3Ag2S8 after structural relaxation (GGA-PBE). Values from VASP.

Values from the calculation:
size of the total moment = 9.00 μB per formula unit
ρ = 4.9 g/cm³
calculated volume = 272.8 Å³/f.u.

Cell and atoms, written as Quantum ESPRESSO input:
```
&SYSTEM
  ibrav = 0, nat = 14, ntyp = 4
/
ATOMIC_SPECIES
Ta 180.95 Ta.upf
Cr 52.00 Cr.upf
Ag 107.87 Ag.upf
S 32.06 S.upf
ATOMIC_POSITIONS crystal
Ta 0.000 0.500 0.500
Cr 0.500 0.500 0.500
Cr 0.250 0.000 0.500
Cr 0.750 0.000 0.500
Ag 0.255 0.000 0.000
Ag 0.745 0.000 0.000
S 0.255 0.329 0.712
S 0.745 0.329 0.712
S 0.500 0.829 0.702
S 0.000 0.832 0.716
S 0.500 0.171 0.298
S 0.000 0.168 0.284
S 0.745 0.671 0.288
S 0.255 0.671 0.288
CELL_PARAMETERS angstrom
-5.651 0.024 -4.076
-2.379 -4.453 3.272
-2.853 4.287 3.980
```



Entry B
Entry from the Materials Project: TaCr3Ag2S8 after structural relaxation (GGA-PBE). Values from VASP.

Values from the calculation:
size of the total moment = 9.00 μB per formula unit
ρ = 4.4 g/cm³
calculated volume = 304.3 Å³/f.u.

Cell and atoms, written as Quantum ESPRESSO input:
```
&SYSTEM
  ibrav = 0, nat = 28, ntyp = 4
/
ATOMIC_SPECIES
Ta 180.95 Ta.upf
Cr 52.00 Cr.upf
Ag 107.87 Ag.upf
S 32.06 S.upf
ATOMIC_POSITIONS crystal
Ta 0.146 0.705 0.696
Ta 0.854 0.295 0.304
Cr 0.246 0.889 0.002
Cr 0.754 0.111 0.998
Cr 0.360 0.557 0.293
Cr 0.640 0.443 0.707
Cr 0.363 0.046 0.294
Cr 0.637 0.954 0.706
Ag 0.122 0.200 0.704
Ag 0.878 0.800 0.296
Ag 0.258 0.372 0.000
Ag 0.742 0.628 0.000
S 0.125 0.675 0.882
S 0.875 0.325 0.118
S 0.089 0.134 0.908
S 0.911 0.866 0.092
S 0.227 0.783 0.366
S 0.773 0.217 0.634
S 0.192 0.286 0.360
S 0.808 0.714 0.640
S 0.324 0.958 0.625
S 0.676 0.042 0.375
S 0.326 0.477 0.631
S 0.674 0.523 0.369
S 0.420 0.075 0.109
S 0.580 0.925 0.891
S 0.372 0.619 0.112
S 0.628 0.381 0.888
CELL_PARAMETERS angstrom
-2.378 -3.724 4.776
6.924 -0.012 3.329
-1.865 9.425 7.724
```



Which of them is most stable? Easy: entry A.



Entry A
Entry from the Materials Project: ZrCrAgS4 after structural relaxation (GGA-PBE). Values from VASP.

Values from the calculation:
size of the total moment = 3.00 μB per formula unit
ρ = 4.4 g/cm³
calculated volume = 142.5 Å³/f.u.

Cell and atoms, written as Quantum ESPRESSO input:
```
&SYSTEM
  ibrav = 0, nat = 14, ntyp = 4
/
ATOMIC_SPECIES
Zr 91.22 Zr.upf
Cr 52.00 Cr.upf
Ag 107.87 Ag.upf
S 32.06 S.upf
ATOMIC_POSITIONS crystal
Zr 0.246 0.000 0.227
Zr 0.746 0.500 0.227
Cr 0.755 0.000 0.771
Cr 0.255 0.500 0.771
Ag 0.997 0.500 0.482
Ag 0.497 0.000 0.482
S 0.130 0.500 0.959
S 0.866 0.500 0.015
S 0.630 0.000 0.959
S 0.366 0.000 0.015
S 0.150 0.000 0.512
S 0.857 0.000 0.535
S 0.650 0.500 0.512
S 0.357 0.500 0.535
CELL_PARAMETERS angstrom
12.911 0.000 -5.624
0.000 3.637 0.000
-0.090 0.000 6.108
```



Entry B
Entry from the Materials Project: ZrCrAgS4 after structural relaxation (GGA-PBE). Values from VASP.

Values from the calculation:
size of the total moment = 3.00 μB per formula unit
ρ = 4.5 g/cm³
calculated volume = 139.3 Å³/f.u.

Cell and atoms, written as Quantum ESPRESSO input:
```
&SYSTEM
  ibrav = 0, nat = 56, ntyp = 4
/
ATOMIC_SPECIES
Zr 91.22 Zr.upf
Cr 52.00 Cr.upf
Ag 107.87 Ag.upf
S 32.06 S.upf
ATOMIC_POSITIONS crystal
Zr 0.119 0.902 0.682
Zr 0.889 0.109 0.187
Zr 0.382 0.890 0.187
Zr 0.607 0.087 0.692
Zr 0.888 0.610 0.836
Zr 0.396 0.382 0.836
Zr 0.625 0.600 0.342
Zr 0.881 0.391 0.494
Cr 0.126 0.365 0.335
Cr 0.158 0.631 0.939
Cr 0.337 0.625 0.440
Cr 0.662 0.369 0.942
Cr 0.127 0.149 0.039
Cr 0.852 0.924 0.470
Cr 0.352 0.116 0.458
Cr 0.622 0.863 0.026
Ag 0.112 0.360 0.658
Ag 0.882 0.616 0.171
Ag 0.391 0.393 0.162
Ag 0.603 0.640 0.673
Ag 0.118 0.878 0.312
Ag 0.886 0.130 0.822
Ag 0.382 0.883 0.810
Ag 0.611 0.123 0.304
S 0.031 0.864 0.868
S 0.975 0.134 0.377
S 0.463 0.866 0.379
S 0.534 0.119 0.884
S 0.043 0.354 0.163
S 0.964 0.603 0.648
S 0.470 0.367 0.660
S 0.543 0.660 0.159
S 0.025 0.381 0.916
S 0.990 0.597 0.376
S 0.473 0.392 0.410
S 0.531 0.614 0.913
S 0.026 0.890 0.123
S 0.955 0.085 0.612
S 0.460 0.896 0.620
S 0.522 0.111 0.124
S 0.222 0.869 0.512
S 0.765 0.119 0.026
S 0.265 0.885 0.021
S 0.715 0.144 0.517
S 0.226 0.368 0.494
S 0.770 0.627 0.004
S 0.270 0.378 0.001
S 0.733 0.655 0.511
S 0.234 0.144 0.761
S 0.774 0.875 0.301
S 0.270 0.139 0.292
S 0.743 0.861 0.767
S 0.239 0.623 0.780
S 0.766 0.375 0.293
S 0.258 0.601 0.280
S 0.736 0.373 0.781
CELL_PARAMETERS angstrom
-9.898 3.788 -5.606
-3.924 -2.360 5.427
1.257 11.563 6.008
```



Entry C
Entry from the Materials Project: ZrCrAgS4 after structural relaxation (GGA-PBE). Values from VASP.

Values from the calculation:
size of the total moment = 3.00 μB per formula unit
ρ = 4.6 g/cm³
calculated volume = 135.6 Å³/f.u.

Cell and atoms, written as Quantum ESPRESSO input:
```
&SYSTEM
  ibrav = 0, nat = 28, ntyp = 4
/
ATOMIC_SPECIES
Zr 91.22 Zr.upf
Cr 52.00 Cr.upf
Ag 107.87 Ag.upf
S 32.06 S.upf
ATOMIC_POSITIONS crystal
Zr 0.935 0.750 0.900
Zr 0.565 0.250 0.400
Zr 0.087 0.250 0.587
Zr 0.413 0.750 0.087
Cr 0.051 0.250 0.120
Cr 0.449 0.750 0.620
Cr 0.926 0.750 0.401
Cr 0.574 0.250 0.901
Ag 0.243 0.250 0.317
Ag 0.755 0.750 0.673
Ag 0.257 0.750 0.817
Ag 0.745 0.250 0.173
S 0.037 0.750 0.717
S 0.964 0.250 0.288
S 0.463 0.250 0.217
S 0.536 0.750 0.788
S 0.088 0.250 0.938
S 0.910 0.750 0.088
S 0.412 0.750 0.438
S 0.590 0.250 0.588
S 0.127 0.750 0.454
S 0.878 0.250 0.521
S 0.373 0.250 0.954
S 0.622 0.750 0.021
S 0.191 0.750 0.152
S 0.786 0.250 0.842
S 0.309 0.250 0.652
S 0.714 0.750 0.342
CELL_PARAMETERS angstrom
11.377 0.000 0.000
0.000 3.624 0.000
0.000 0.000 13.162
```



Which of them is most stable? Easy: entry A.